(1)
Here is a relaxed Li2Ce2Si3 crystal from the Materials Project database. Energies are from r²SCAN.

Calculated values
* VASP energy: -0.51021 Ha/atom
* size of the total moment: 1.9 μB per formula unit
* energy of formation from the pure elements: -630 meV/atom

Lattice parameters (Å, degrees): 9.5215 9.5215 6.7994 90.00 90.00 153.19
With the nearest neighbours (Å) after each atom.
Fractional positions:
Li1 0.8109 0.1891 0.5594  1 Li 2.59, 4 Si 2.60-2.71
Li2 0.1891 0.8109 0.4406  1 Li 2.59, 4 Si 2.60-2.71
Li3 0.1891 0.8109 0.0594  1 Li 2.59, 4 Si 2.60-2.71
Li4 0.8109 0.1891 0.9406  1 Li 2.59, 4 Si 2.60-2.71
Ce1 0.5524 0.4476 0.2500  9 Si 3.09-3.23
Ce2 0.4476 0.5524 0.7500  9 Si 3.09-3.23
Ce3 0.3424 0.6576 0.2500  6 Li 3.10-3.12, 6 Si 3.12-3.18
Ce4 0.6576 0.3424 0.7500  6 Li 3.10-3.12, 6 Si 3.12-3.18
Si1 0.9423 0.0577 0.0752  2 Si 2.37-2.38, 1 Li 2.60
Si2 0.0577 0.9423 0.9248  2 Si 2.37-2.38, 1 Li 2.60
Si3 0.0577 0.9423 0.5752  2 Si 2.37-2.38, 1 Li 2.60
Si4 0.9423 0.0577 0.4248  2 Si 2.37-2.38, 1 Li 2.60
Si5 0.7190 0.2810 0.2500  6 Li 2.62-2.71
Si6 0.2810 0.7190 0.7500  6 Li 2.62-2.71


(2)
Here is a relaxed LiBiO2 crystal from the Materials Project database. Energies are from r²SCAN.

Calculated values
* VASP energy: -0.72884 Ha/atom
* size of the total moment: 0.0 μB per formula unit
* energy of formation from the pure elements: -1624 meV/atom

Lattice parameters (Å, degrees): 4.6673 5.3148 9.7942 105.72 103.76 90.05
With the nearest neighbours (Å) after each atom.
Fractional positions:
Li1 0.9999 0.2494 0.4991  4 O 1.96-1.98
Li2 0.5004 0.7507 0.5013  4 O 1.97-1.98
Li3 0.0001 0.7506 0.5009  4 O 1.96-1.98
Li4 0.4996 0.2493 0.4987  4 O 1.97-1.98
Bi1 0.0897 0.3324 0.1795  2 O 2.06-2.12
Bi2 0.9103 0.6676 0.8205  2 O 2.06-2.12
Bi3 0.4103 0.1533 0.8204  2 O 2.06-2.12
Bi4 0.5897 0.8467 0.1796  2 O 2.06-2.12
O1 0.2024 0.4548 0.4048  4 Li 1.97-1.98, 1 Bi 2.06
O2 0.7976 0.5452 0.5952  4 Li 1.97-1.98, 1 Bi 2.06
O3 0.2976 0.0501 0.5952  4 Li 1.96-1.98, 1 Bi 2.06
O4 0.7024 0.9499 0.4048  4 Li 1.96-1.98, 1 Bi 2.06
O5 0.0824 0.9269 0.1646  1 Bi 2.12
O6 0.9176 0.0731 0.8354  1 Bi 2.12
O7 0.4174 0.7627 0.8355  1 Bi 2.12
O8 0.5826 0.2373 0.1645  1 Bi 2.12


(3)
Here is a relaxed CaTm2S4 crystal from the Materials Project database. Energies are from r²SCAN.

Calculated values
* VASP energy: -0.66296 Ha/atom
* size of the total moment: 0.0 μB per formula unit
* energy of formation from the pure elements: -2409 meV/atom

Lattice parameters (Å, degrees): 3.8479 12.8212 12.9982 90.00 90.00 90.00
With the nearest neighbours (Å) after each atom.
Fractional positions:
Ca1 0.2500 0.3688 0.5834  7 S 2.87-3.00
Ca2 0.2500 0.8688 0.9166  7 S 2.87-3.00
Ca3 0.7500 0.6312 0.4166  7 S 2.87-3.00
Ca4 0.7500 0.1312 0.0834  7 S 2.87-3.00
Tm1 0.2500 0.1068 0.4168  6 S 2.68-2.78
Tm2 0.2500 0.6068 0.0832  6 S 2.68-2.78
Tm3 0.7500 0.8932 0.5832  6 S 2.68-2.78
Tm4 0.7500 0.3932 0.9168  6 S 2.68-2.78
Tm5 0.2500 0.1471 0.7979  6 S 2.66-2.75
Tm6 0.2500 0.6471 0.7021  6 S 2.66-2.75
Tm7 0.7500 0.8529 0.2021  6 S 2.66-2.75
Tm8 0.7500 0.3529 0.2979  6 S 2.66-2.75
S1 0.2500 0.2175 0.2384  3 Tm 2.70-2.72, 2 Ca 3.00
S2 0.2500 0.7175 0.2616  3 Tm 2.70-2.72, 2 Ca 3.00
S3 0.7500 0.7825 0.7616  3 Tm 2.70-2.72, 2 Ca 3.00
S4 0.7500 0.2825 0.7384  3 Tm 2.70-2.72, 2 Ca 3.00
S5 0.2500 0.2583 0.9733  3 Tm 2.69, 2 Ca 2.90
S6 0.2500 0.7583 0.5267  3 Tm 2.69, 2 Ca 2.90
S7 0.7500 0.7417 0.0267  3 Tm 2.69, 2 Ca 2.90
S8 0.7500 0.2417 0.4733  3 Tm 2.69, 2 Ca 2.90
S9 0.2500 0.4691 0.3815  2 Tm 2.66, 3 Ca 2.87-2.92
S10 0.2500 0.9691 0.1185  2 Tm 2.66, 3 Ca 2.87-2.92
S11 0.7500 0.5309 0.6185  2 Tm 2.66, 3 Ca 2.87-2.92
S12 0.7500 0.0309 0.8815  2 Tm 2.66, 3 Ca 2.87-2.92
S13 0.2500 0.0340 0.6179  4 Tm 2.68-2.78
S14 0.2500 0.5340 0.8821  4 Tm 2.68-2.78
S15 0.7500 0.9660 0.3821  4 Tm 2.68-2.78
S16 0.7500 0.4660 0.1179  4 Tm 2.68-2.78


(4)
Here is a relaxed Dy3TaO7 crystal from the Materials Project database. Energies are from r²SCAN.

Calculated values
* VASP energy: -0.76051 Ha/atom
* size of the total moment: 0.0 μB per formula unit
* energy of formation from the pure elements: -3754 meV/atom

Lattice parameters (Å, degrees): 6.4438 6.4438 7.4226 90.00 90.00 108.80
With the nearest neighbours (Å) after each atom.
Fractional positions:
Dy1 0.9999 0.5348 0.2414  7 O 2.20-2.45
Dy2 0.4652 0.0001 0.2586  7 O 2.20-2.45
Dy3 0.4662 0.4662 0.0000  6 O 2.31-2.37
Dy4 0.5338 0.5338 0.5000  6 O 2.31-2.37
Dy5 0.0001 0.4652 0.7414  7 O 2.20-2.45
Dy6 0.5348 0.9999 0.7586  7 O 2.20-2.45
Ta1 0.0019 0.0019 0.5000  6 O 1.93-2.03
Ta2 0.9981 0.9981 0.0000  6 O 1.93-2.03
O1 0.9316 0.0684 0.7500  2 Ta 1.99
O2 0.6391 0.3609 0.7500  4 Dy 2.20-2.37
O3 0.3086 0.0517 0.5442  1 Ta 1.93
O4 0.9483 0.6914 0.9558  1 Ta 1.93
O5 0.6291 0.3709 0.2500  4 Dy 2.28-2.31
O6 0.9173 0.6717 0.5245  1 Ta 2.03, 1 Dy 2.26
O7 0.3283 0.0827 0.9755  1 Ta 2.03, 1 Dy 2.26
O8 0.0827 0.3283 0.0245  1 Ta 2.03, 1 Dy 2.26
O9 0.6717 0.9173 0.4755  1 Ta 2.03, 1 Dy 2.26
O10 0.3709 0.6291 0.7500  4 Dy 2.28-2.31
O11 0.6914 0.9483 0.0442  1 Ta 1.93
O12 0.0517 0.3086 0.4558  1 Ta 1.93
O13 0.3609 0.6391 0.2500  4 Dy 2.20-2.37
O14 0.0684 0.9316 0.2500  2 Ta 1.99


(5)
Here is a relaxed K2Ca2S3O12 crystal from the Materials Project database. Energies are from r²SCAN.

Calculated values
* VASP energy: -0.31936 Ha/atom
* size of the total moment: 0.0 μB per formula unit
* energy of formation from the pure elements: -2275 meV/atom
* distance to the lowest polymorph of the same formula: 0 meV per atom

Lattice parameters (Å, degrees): 10.0782 10.3007 10.4815 90.00 90.00 90.00
With the nearest neighbours (Å) after each atom.
Fractional positions:
K1 0.3106 0.6688 0.1862  9 O 2.80-3.10
K2 0.1894 0.3312 0.6862  9 O 2.80-3.10
K3 0.4374 0.9745 0.5623  6 O 2.71-3.02
K4 0.6894 0.1688 0.3138  9 O 2.80-3.10
K5 0.0626 0.0255 0.0623  6 O 2.71-3.02
K6 0.5626 0.4745 0.9377  6 O 2.71-3.02
K7 0.9374 0.5255 0.4377  6 O 2.71-3.02
K8 0.8106 0.8312 0.8138  9 O 2.80-3.10
Ca1 0.3209 0.3017 0.3383  6 O 2.32-2.41
Ca2 0.8209 0.1983 0.6617  6 O 2.32-2.41
Ca3 0.6791 0.8017 0.1617  6 O 2.32-2.41
Ca4 0.1791 0.6983 0.8383  6 O 2.32-2.41
Ca5 0.5733 0.6008 0.5940  6 O 2.30-2.40
Ca6 0.4267 0.1008 0.9060  6 O 2.30-2.40
Ca7 0.9267 0.3992 0.0940  6 O 2.30-2.40
Ca8 0.0733 0.8992 0.4060  6 O 2.30-2.40
S1 0.1294 0.0017 0.7174  4 O 1.47-1.48
S2 0.6294 0.4983 0.2826  4 O 1.47-1.48
S3 0.8706 0.5017 0.7826  4 O 1.47-1.48
S4 0.3706 0.9983 0.2174  4 O 1.47-1.48
S5 0.2446 0.6083 0.5021  4 O 1.47-1.48
S6 0.7446 0.8917 0.4979  4 O 1.47-1.48
S7 0.7554 0.1083 0.9979  4 O 1.47-1.48
S8 0.2554 0.3917 0.0021  4 O 1.47-1.48
S9 0.4807 0.7952 0.8704  4 O 1.47-1.48
S10 0.0193 0.2048 0.3704  4 O 1.47-1.48
S11 0.5193 0.2952 0.6296  4 O 1.47-1.48
S12 0.9807 0.7048 0.1296  4 O 1.47-1.48
O1 0.0774 0.9075 0.8115  1 S 1.48
O2 0.5774 0.5925 0.1885  1 S 1.48
O3 0.9226 0.4075 0.6885  1 S 1.48
O4 0.4226 0.0925 0.3115  1 S 1.48
O5 0.2430 0.0730 0.7728  1 S 1.48
O6 0.7430 0.4270 0.2272  1 S 1.48
O7 0.7570 0.5730 0.7272  1 S 1.48
O8 0.2570 0.9270 0.2728  1 S 1.48
O9 0.0256 0.0948 0.6826  1 S 1.47
O10 0.5256 0.4052 0.3174  1 S 1.47
O11 0.9744 0.5948 0.8174  1 S 1.47
O12 0.4744 0.9052 0.1826  1 S 1.47
O13 0.1761 0.9294 0.6042  1 S 1.48
O14 0.6761 0.5706 0.3958  1 S 1.48
O15 0.8239 0.4294 0.8958  1 S 1.48
O16 0.3239 0.0706 0.1042  1 S 1.48
O17 0.3810 0.6563 0.4840  1 S 1.47
O18 0.8810 0.8437 0.5160  1 S 1.47
O19 0.1530 0.6909 0.4285  1 S 1.47
O20 0.6190 0.1563 0.0160  1 S 1.47
O21 0.2323 0.4741 0.4528  1 S 1.48
O22 0.7323 0.0259 0.5472  1 S 1.48
O23 0.7677 0.9741 0.0472  1 S 1.48
O24 0.2677 0.5259 0.9528  1 S 1.48
O25 0.2062 0.6072 0.6373  1 S 1.47
O26 0.7062 0.8928 0.3627  1 S 1.47
O27 0.7938 0.1072 0.8627  1 S 1.47
O28 0.2938 0.3928 0.1373  1 S 1.47
O29 0.0433 0.3011 0.2685  1 S 1.48
O30 0.5433 0.1989 0.7315  1 S 1.48
O31 0.9567 0.8011 0.2315  1 S 1.48
O32 0.4567 0.6989 0.7685  1 S 1.48
O33 0.9692 0.0819 0.3156  1 S 1.48
O34 0.4692 0.4181 0.6844  1 S 1.48
O35 0.0308 0.5819 0.1844  1 S 1.48
O36 0.5308 0.9181 0.8156  1 S 1.48
O37 0.9206 0.2568 0.4605  1 S 1.47
O38 0.4206 0.2432 0.5395  1 S 1.47
O39 0.0794 0.7568 0.0395  1 S 1.47
O40 0.5794 0.7432 0.9605  1 S 1.47
O41 0.1473 0.1787 0.4347  1 S 1.48
O42 0.6473 0.3213 0.5653  1 S 1.48
O43 0.8527 0.6787 0.0653  1 S 1.48
O44 0.3527 0.8213 0.9347  1 S 1.48
O45 0.3470 0.3091 0.9285  1 S 1.47
O46 0.8470 0.1909 0.0715  1 S 1.47
O47 0.6530 0.8091 0.5715  1 S 1.47
O48 0.1190 0.3437 0.9840  1 S 1.47


(6)
Here is a relaxed Cr5B3 crystal from the Materials Project database. Energies are from r²SCAN.

Calculated values
* VASP energy: -0.45723 Ha/atom
* size of the total moment: 0.0 μB per formula unit
* energy of formation from the pure elements: -266 meV/atom

Lattice parameters (Å, degrees): 5.4105 5.4105 6.2419 115.68 115.68 90.00
With the nearest neighbours (Å) after each atom.
Fractional positions:
Cr1 0.6829 0.1829 0.7080  5 B 2.15-2.25, 1 Cr 2.38
Cr2 0.9748 0.4748 0.2920  5 B 2.15-2.25, 1 Cr 2.38
Cr3 0.0000 0.0000 0.0000  4 B 2.16
Cr4 0.5000 0.5000 0.0000  4 B 2.16
Cr5 0.0252 0.5252 0.7080  5 B 2.15-2.25, 1 Cr 2.38
Cr6 0.1829 0.0252 0.7080  5 B 2.15-2.25, 1 Cr 2.38
Cr7 0.5252 0.6829 0.7080  5 B 2.15-2.25, 1 Cr 2.38
Cr8 0.8171 0.9748 0.2920  5 B 2.15-2.25, 1 Cr 2.38
Cr9 0.4748 0.3171 0.2920  5 B 2.15-2.25, 1 Cr 2.38
Cr10 0.3171 0.8171 0.2920  5 B 2.15-2.25, 1 Cr 2.38
B1 0.3819 0.8819 0.0000  1 B 1.81
B2 0.1181 0.3819 0.0000  1 B 1.81
B3 0.8819 0.6181 0.0000  1 B 1.81
B4 0.6181 0.1181 0.0000  1 B 1.81
B5 0.7500 0.7500 0.5000  10 Cr 2.25-2.47
B6 0.2500 0.2500 0.5000  10 Cr 2.25-2.47


Please write out number 3 again, unchanged.
Here is a relaxed CaTm2S4 crystal from the Materials Project database. Energies are from r²SCAN.

Calculated values
* VASP energy: -0.66296 Ha/atom
* size of the total moment: 0.0 μB per formula unit
* energy of formation from the pure elements: -2409 meV/atom

Lattice parameters (Å, degrees): 3.8479 12.8212 12.9982 90.00 90.00 90.00
With the nearest neighbours (Å) after each atom.
Fractional positions:
Ca1 0.2500 0.3688 0.5834  7 S 2.87-3.00
Ca2 0.2500 0.8688 0.9166  7 S 2.87-3.00
Ca3 0.7500 0.6312 0.4166  7 S 2.87-3.00
Ca4 0.7500 0.1312 0.0834  7 S 2.87-3.00
Tm1 0.2500 0.1068 0.4168  6 S 2.68-2.78
Tm2 0.2500 0.6068 0.0832  6 S 2.68-2.78
Tm3 0.7500 0.8932 0.5832  6 S 2.68-2.78
Tm4 0.7500 0.3932 0.9168  6 S 2.68-2.78
Tm5 0.2500 0.1471 0.7979  6 S 2.66-2.75
Tm6 0.2500 0.6471 0.7021  6 S 2.66-2.75
Tm7 0.7500 0.8529 0.2021  6 S 2.66-2.75
Tm8 0.7500 0.3529 0.2979  6 S 2.66-2.75
S1 0.2500 0.2175 0.2384  3 Tm 2.70-2.72, 2 Ca 3.00
S2 0.2500 0.7175 0.2616  3 Tm 2.70-2.72, 2 Ca 3.00
S3 0.7500 0.7825 0.7616  3 Tm 2.70-2.72, 2 Ca 3.00
S4 0.7500 0.2825 0.7384  3 Tm 2.70-2.72, 2 Ca 3.00
S5 0.2500 0.2583 0.9733  3 Tm 2.69, 2 Ca 2.90
S6 0.2500 0.7583 0.5267  3 Tm 2.69, 2 Ca 2.90
S7 0.7500 0.7417 0.0267  3 Tm 2.69, 2 Ca 2.90
S8 0.7500 0.2417 0.4733  3 Tm 2.69, 2 Ca 2.90
S9 0.2500 0.4691 0.3815  2 Tm 2.66, 3 Ca 2.87-2.92
S10 0.2500 0.9691 0.1185  2 Tm 2.66, 3 Ca 2.87-2.92
S11 0.7500 0.5309 0.6185  2 Tm 2.66, 3 Ca 2.87-2.92
S12 0.7500 0.0309 0.8815  2 Tm 2.66, 3 Ca 2.87-2.92
S13 0.2500 0.0340 0.6179  4 Tm 2.68-2.78
S14 0.2500 0.5340 0.8821  4 Tm 2.68-2.78
S15 0.7500 0.9660 0.3821  4 Tm 2.68-2.78
S16 0.7500 0.4660 0.1179  4 Tm 2.68-2.78